The following is a PBE-GGA calculation of a geometry-optimized CaTi4Cu3O12 structure, from the Materials Project.

Lattice parameters (Å, degrees): 6.461 6.461 6.461 109.47 109.47 109.47
Fractional coordinates of all 20 atoms:
Ti 0.500 0.000 0.000
Ti 0.500 0.500 0.500
Ti 0.000 0.000 0.500
Ti 0.000 0.500 0.000
O 0.303 0.126 0.823
O 0.823 0.303 0.126
O 0.303 0.480 0.177
O 0.874 0.177 0.697
O 0.520 0.823 0.697
O 0.177 0.697 0.874
O 0.480 0.177 0.303
O 0.126 0.823 0.303
O 0.697 0.520 0.823
O 0.697 0.874 0.177
O 0.823 0.697 0.520
O 0.177 0.303 0.480
Cu 0.000 0.500 0.500
Cu 0.500 0.000 0.500
Cu 0.500 0.500 0.000
Ca 0.000 0.000 0.000

Calculated values
E (MP2020) in eV per formula unit: -159.32
Formation energy in eV per atom: -2.70